Below is a relaxed structure of Ba4Ge20Pd3, with properties calculated at the PBE level. Values from VASP.

```
&SYSTEM
  ibrav = 0, nat = 54, ntyp = 3
/
ATOMIC_SPECIES
Ba 137.33 Ba.upf
Ge 72.64 Ge.upf
Pd 106.42 Pd.upf
CELL_PARAMETERS angstrom
10.9070 0.0000 0.0000
0.0000 10.9070 0.0000
0.0000 0.0000 10.9070
ATOMIC_POSITIONS crystal
Ba 0.0000 0.0000 0.0000
Ba 0.0000 0.2500 0.5000
Ba 0.0000 0.7500 0.5000
Ba 0.2500 0.5000 0.0000
Ba 0.5000 0.0000 0.2500
Ba 0.5000 0.0000 0.7500
Ba 0.5000 0.5000 0.5000
Ba 0.7500 0.5000 0.0000
Ge 0.0000 0.3146 0.1190
Ge 0.0000 0.3146 0.8810
Ge 0.0000 0.6854 0.1190
Ge 0.0000 0.6854 0.8810
Ge 0.1190 0.0000 0.3146
Ge 0.1190 0.0000 0.6854
Ge 0.1830 0.1830 0.1830
Ge 0.1830 0.1830 0.8170
Ge 0.1830 0.8170 0.1830
Ge 0.1830 0.8170 0.8170
Ge 0.1854 0.5000 0.3810
Ge 0.1854 0.5000 0.6190
Ge 0.3146 0.1190 0.0000
Ge 0.3146 0.8810 0.0000
Ge 0.3170 0.3170 0.3170
Ge 0.3170 0.3170 0.6830
Ge 0.3170 0.6830 0.3170
Ge 0.3170 0.6830 0.6830
Ge 0.3810 0.1854 0.5000
Ge 0.3810 0.8146 0.5000
Ge 0.5000 0.3810 0.1854
Ge 0.5000 0.3810 0.8146
Ge 0.5000 0.6190 0.1854
Ge 0.5000 0.6190 0.8146
Ge 0.6190 0.1854 0.5000
Ge 0.6190 0.8146 0.5000
Ge 0.6830 0.3170 0.3170
Ge 0.6830 0.3170 0.6830
Ge 0.6830 0.6830 0.3170
Ge 0.6830 0.6830 0.6830
Ge 0.6854 0.1190 0.0000
Ge 0.6854 0.8810 0.0000
Ge 0.8146 0.5000 0.3810
Ge 0.8146 0.5000 0.6190
Ge 0.8170 0.1830 0.1830
Ge 0.8170 0.1830 0.8170
Ge 0.8170 0.8170 0.1830
Ge 0.8170 0.8170 0.8170
Ge 0.8810 0.0000 0.3146
Ge 0.8810 0.0000 0.6854
Pd 0.0000 0.5000 0.2500
Pd 0.0000 0.5000 0.7500
Pd 0.2500 0.0000 0.5000
Pd 0.5000 0.2500 0.0000
Pd 0.5000 0.7500 0.0000
Pd 0.7500 0.0000 0.5000
```

density: 5.94 g/cm3
symmetry: No. 223
ΔE_f: -0.34 eV per atom

Below is a relaxed structure of Ba16Zn9Ge80Pd3, with properties calculated at the PBE level. Values from VASP.

```
&SYSTEM
  ibrav = 0, nat = 108, ntyp = 4
/
ATOMIC_SPECIES
Ba 137.33 Ba.upf
Zn 65.41 Zn.upf
Ge 72.64 Ge.upf
Pd 106.42 Pd.upf
CELL_PARAMETERS angstrom
10.9221 0.0000 0.0000
0.0000 10.9317 0.0000
-0.0070 0.0000 21.8044
ATOMIC_POSITIONS crystal
Ba 0.0000 0.0000 0.0000
Ba 0.0004 0.0000 0.2443
Ba 0.2511 0.5000 0.3685
Ba 0.2511 0.5000 0.8717
Ba 0.4930 0.2502 0.1240
Ba 0.4930 0.7498 0.1240
Ba 0.4960 0.0000 0.3705
Ba 0.4961 0.0000 0.8727
Ba 0.4964 0.2545 0.6240
Ba 0.4964 0.7455 0.6240
Ba 0.7420 0.5000 0.3693
Ba 0.7418 0.5000 0.8710
Ba 0.9964 0.5000 0.6226
Ba 0.9967 0.0000 0.4965
Ba 0.9966 0.0000 0.7476
Ba 0.9976 0.5000 0.1225
Zn 0.2470 0.0000 0.6217
Zn 0.4965 0.5000 0.4972
Zn 0.4969 0.5000 0.9972
Zn 0.7462 0.0000 0.1218
Zn 0.7458 0.0000 0.6217
Zn 0.9963 0.2502 0.3724
Zn 0.9962 0.2503 0.8724
Zn 0.9963 0.7498 0.3724
Zn 0.9962 0.7497 0.8724
Ge 0.1146 0.1887 0.6220
Ge 0.1146 0.8113 0.6220
Ge 0.1183 0.1841 0.1220
Ge 0.1183 0.8159 0.1220
Ge 0.1789 0.3164 0.2138
Ge 0.1794 0.3171 0.0298
Ge 0.1794 0.6829 0.0298
Ge 0.1789 0.6836 0.2138
Ge 0.1801 0.3162 0.7134
Ge 0.1801 0.6838 0.7134
Ge 0.1806 0.3169 0.5302
Ge 0.1806 0.6831 0.5302
Ge 0.1853 0.1182 0.3723
Ge 0.1854 0.1183 0.8721
Ge 0.1853 0.8818 0.3723
Ge 0.1854 0.8817 0.8721
Ge 0.3055 0.5000 0.0633
Ge 0.3056 0.5000 0.5638
Ge 0.3118 0.5000 0.1835
Ge 0.3120 0.5000 0.6831
Ge 0.3128 0.1833 0.7806
Ge 0.3129 0.1838 0.2810
Ge 0.3129 0.8162 0.2810
Ge 0.3128 0.8167 0.7806
Ge 0.3135 0.1838 0.4643
Ge 0.3140 0.1839 0.9639
Ge 0.3135 0.8162 0.4643
Ge 0.3140 0.8161 0.9639
Ge 0.3740 0.0000 0.2145
Ge 0.3754 0.0000 0.0298
Ge 0.3777 0.0000 0.7169
Ge 0.3790 0.0000 0.5274
Ge 0.4964 0.3094 0.4308
Ge 0.4964 0.6906 0.4308
Ge 0.4968 0.3094 0.9301
Ge 0.4966 0.3158 0.3113
Ge 0.4965 0.3155 0.8108
Ge 0.4966 0.6842 0.3113
Ge 0.4965 0.6845 0.8108
Ge 0.4968 0.6906 0.9301
Ge 0.6121 0.0000 0.0266
Ge 0.6136 0.0000 0.2176
Ge 0.6139 0.0000 0.5272
Ge 0.6152 0.0000 0.7169
Ge 0.6794 0.1839 0.4642
Ge 0.6794 0.8161 0.4642
Ge 0.6802 0.1835 0.7806
Ge 0.6801 0.1834 0.9640
Ge 0.6802 0.8165 0.7806
Ge 0.6801 0.8166 0.9640
Ge 0.6808 0.1832 0.2808
Ge 0.6808 0.5000 0.1829
Ge 0.6808 0.5000 0.6831
Ge 0.6808 0.8168 0.2808
Ge 0.6873 0.5000 0.0639
Ge 0.6874 0.5000 0.5638
Ge 0.8078 0.1176 0.3726
Ge 0.8077 0.1177 0.8719
Ge 0.8078 0.8824 0.3726
Ge 0.8077 0.8823 0.8719
Ge 0.8124 0.3169 0.5301
Ge 0.8124 0.6831 0.5301
Ge 0.8130 0.3164 0.2135
Ge 0.8128 0.3161 0.7134
Ge 0.8127 0.3171 0.0301
Ge 0.8127 0.6829 0.0301
Ge 0.8130 0.6836 0.2135
Ge 0.8128 0.6839 0.7134
Ge 0.8784 0.1888 0.6220
Ge 0.8784 0.8112 0.6220
Ge 0.8803 0.1900 0.1220
Ge 0.8803 0.8100 0.1220
Ge 0.9962 0.3814 0.2776
Ge 0.9962 0.3829 0.9665
Ge 0.9962 0.6171 0.9665
Ge 0.9962 0.6186 0.2776
Ge 0.9965 0.3814 0.7772
Ge 0.9966 0.3827 0.4670
Ge 0.9966 0.6173 0.4670
Ge 0.9965 0.6186 0.7772
Pd 0.2464 0.0000 0.1218
Pd 0.4964 0.5000 0.7470
Pd 0.4970 0.5000 0.2473
```

density: 5.69 g/cm3
symmetry: No. 6
ΔE_f: -0.31 eV per atom

Below is a relaxed structure of BaGe3Pt, with properties calculated at the PBE level. Values from VASP.

```
&SYSTEM
  ibrav = 0, nat = 5, ntyp = 3
/
ATOMIC_SPECIES
Ba 137.33 Ba.upf
Ge 72.64 Ge.upf
Pt 195.08 Pt.upf
CELL_PARAMETERS angstrom
-2.3093 2.3093 5.2172
2.3093 -2.3093 5.2172
2.3093 2.3093 -5.2172
ATOMIC_POSITIONS crystal
Ba 0.0000 0.0000 0.0000
Ge 0.2461 0.7461 0.5000
Ge 0.5989 0.5989 0.0000
Ge 0.7461 0.2461 0.5000
Pt 0.3518 0.3518 0.0000
```

density: 8.21 g/cm3
symmetry: No. 107
ΔE_f: -0.63 eV per atom

Below is a relaxed structure of BaGe12Pt4, with properties calculated at the PBE level. Values from VASP.

```
&SYSTEM
  ibrav = 0, nat = 17, ntyp = 3
/
ATOMIC_SPECIES
Ba 137.33 Ba.upf
Ge 72.64 Ge.upf
Pt 195.08 Pt.upf
CELL_PARAMETERS angstrom
-4.4139 4.4139 4.4139
4.4139 -4.4139 4.4139
4.4139 4.4139 -4.4139
ATOMIC_POSITIONS crystal
Ba 0.0000 0.0000 0.0000
Ge 0.1528 0.3567 0.5095
Ge 0.1528 0.6433 0.7961
Ge 0.2039 0.8472 0.3567
Ge 0.3567 0.2039 0.8472
Ge 0.3567 0.5095 0.1528
Ge 0.4905 0.8472 0.6433
Ge 0.5095 0.1528 0.3567
Ge 0.6433 0.4905 0.8472
Ge 0.6433 0.7961 0.1528
Ge 0.7961 0.1528 0.6433
Ge 0.8472 0.3567 0.2039
Ge 0.8472 0.6433 0.4905
Pt 0.0000 0.0000 0.5000
Pt 0.0000 0.5000 0.0000
Pt 0.5000 0.0000 0.0000
Pt 0.5000 0.5000 0.5000
```

density: 8.64 g/cm3
symmetry: No. 204
ΔE_f: -0.37 eV per atom

Below is a relaxed structure of BaGe4Rh2S6, with properties calculated at the PBE level. Values from VASP.

```
&SYSTEM
  ibrav = 0, nat = 52, ntyp = 4
/
ATOMIC_SPECIES
Ba 137.33 Ba.upf
Ge 72.64 Ge.upf
Rh 102.91 Rh.upf
S 32.06 S.upf
CELL_PARAMETERS angstrom
5.9826 0.0000 0.0000
0.0000 29.5295 0.0000
0.0000 0.0000 6.0441
ATOMIC_POSITIONS crystal
Ba 0.0000 0.0000 0.0000
Ba 0.0000 0.5000 0.5000
Ba 0.5000 0.0000 0.5000
Ba 0.5000 0.5000 0.0000
Ge 0.0830 0.1234 0.4184
Ge 0.0830 0.3766 0.9184
Ge 0.1125 0.1842 0.8795
Ge 0.1125 0.3158 0.3795
Ge 0.3875 0.6842 0.8795
Ge 0.3875 0.8158 0.3795
Ge 0.4170 0.6234 0.4184
Ge 0.4170 0.8766 0.9184
Ge 0.5830 0.1234 0.0816
Ge 0.5830 0.3766 0.5816
Ge 0.6125 0.1842 0.6205
Ge 0.6125 0.3158 0.1205
Ge 0.8875 0.6842 0.6205
Ge 0.8875 0.8158 0.1205
Ge 0.9170 0.6234 0.0816
Ge 0.9170 0.8766 0.5816
Rh 0.0097 0.7010 0.9971
Rh 0.0097 0.7990 0.4971
Rh 0.4903 0.2010 0.9971
Rh 0.4903 0.2990 0.4971
Rh 0.5097 0.7010 0.5029
Rh 0.5097 0.7990 0.0029
Rh 0.9903 0.2010 0.5029
Rh 0.9903 0.2990 0.0029
S 0.0049 0.0512 0.5041
S 0.0049 0.4488 0.0041
S 0.0098 0.6133 0.4630
S 0.0098 0.8867 0.9630
S 0.1244 0.7234 0.3803
S 0.1244 0.7766 0.8803
S 0.3756 0.2234 0.3803
S 0.3756 0.2766 0.8803
S 0.4902 0.1133 0.4630
S 0.4902 0.3867 0.9630
S 0.4951 0.5512 0.5041
S 0.4951 0.9488 0.0041
S 0.5049 0.0512 0.9959
S 0.5049 0.4488 0.4959
S 0.5098 0.6133 0.0370
S 0.5098 0.8867 0.5370
S 0.6244 0.7234 0.1197
S 0.6244 0.7766 0.6197
S 0.8756 0.2234 0.1197
S 0.8756 0.2766 0.6197
S 0.9902 0.1133 0.0370
S 0.9902 0.3867 0.5370
S 0.9951 0.5512 0.9959
S 0.9951 0.9488 0.4959
```

density: 5.14 g/cm3
symmetry: No. 61
ΔE_f: -0.98 eV per atom

Below is a relaxed structure of BaGe2Ru2, with properties calculated at the PBE level. Values from VASP.

```
&SYSTEM
  ibrav = 0, nat = 10, ntyp = 3
/
ATOMIC_SPECIES
Ba 137.33 Ba.upf
Ge 72.64 Ge.upf
Ru 101.07 Ru.upf
CELL_PARAMETERS angstrom
0.0000 5.3271 6.4178
3.2355 0.0000 6.4178
3.2355 5.3271 0.0000
ATOMIC_POSITIONS crystal
Ba 0.1250 0.1250 0.1250
Ba 0.8750 0.8750 0.8750
Ge 0.1982 0.5518 0.1982
Ge 0.4482 0.8018 0.4482
Ge 0.5518 0.1982 0.5518
Ge 0.8018 0.4482 0.8018
Ru 0.2520 0.2520 0.4980
Ru 0.4980 0.4980 0.2520
Ru 0.5020 0.5020 0.7480
Ru 0.7480 0.7480 0.5020
```

density: 7.28 g/cm3
symmetry: No. 70
ΔE_f: -0.47 eV per atom